## Si9Ni25 (PBE)

Data for Si9Ni25 after structural relaxation.

Computed properties:
SG: P-3 (147)
Formation energy from the elements in eV/f.u.: -15.8

Cell lengths 6.6815, 6.6815, 9.6265 Å; angles 90.00, 90.00, 120.00 degrees
Fractional positions:
Si (0.0000, 0.0000, 0.0000)
Si (0.0096, 0.6715, 0.3233)
Si (0.3285, 0.3381, 0.3233)
Si (0.3333, 0.6667, 0.0216)
Si (0.3381, 0.0096, 0.6767)
Si (0.6619, 0.9904, 0.3233)
Si (0.6667, 0.3333, 0.9784)
Si (0.6715, 0.6619, 0.6767)
Si (0.9904, 0.3285, 0.6767)
Ni (0.0000, 0.0000, 0.2441)
Ni (0.0000, 0.0000, 0.5000)
Ni (0.0000, 0.0000, 0.7559)
Ni (0.0506, 0.3414, 0.9236)
Ni (0.0646, 0.6865, 0.5676)
Ni (0.0776, 0.4062, 0.1870)
Ni (0.2908, 0.9494, 0.9236)
Ni (0.3135, 0.3781, 0.5676)
Ni (0.3287, 0.9224, 0.1870)
Ni (0.3333, 0.6667, 0.3925)
Ni (0.3333, 0.6667, 0.7608)
Ni (0.3414, 0.2908, 0.0764)
Ni (0.3781, 0.0646, 0.4324)
Ni (0.4062, 0.3287, 0.8130)
Ni (0.5938, 0.6713, 0.1870)
Ni (0.6219, 0.9354, 0.5676)
Ni (0.6586, 0.7092, 0.9236)
Ni (0.6667, 0.3333, 0.2392)
Ni (0.6667, 0.3333, 0.6075)
Ni (0.6713, 0.0776, 0.8130)
Ni (0.6865, 0.6219, 0.4324)
Ni (0.7092, 0.0506, 0.0764)
Ni (0.9224, 0.5938, 0.8130)
Ni (0.9354, 0.3135, 0.4324)
Ni (0.9494, 0.6586, 0.0764)


## Dy2Tl (PBE)

Data for Dy2Tl after structural relaxation.

Computed properties:
SG: P6_3/mmc (194)
Formation energy from the elements in eV/f.u.: -0.8

Cell lengths 5.4141, 5.4141, 6.7328 Å; angles 90.00, 90.00, 120.00 degrees
Fractional positions:
Dy (0.0000, 0.0000, 0.0000)
Dy (0.0000, 0.0000, 0.5000)
Dy (0.3333, 0.6667, 0.2500)
Dy (0.6667, 0.3333, 0.7500)
Tl (0.3333, 0.6667, 0.7500)
Tl (0.6667, 0.3333, 0.2500)


## MgNbBi3O7 (PBE)

Data for MgNbBi3O7 after structural relaxation.

Computed properties:
SG: P1 (1)
Formation energy from the elements in eV/f.u.: -23.6
Distance to the lowest polymorph of the same formula in meV per atom: 81.8

Cell lengths 3.8827, 4.9069, 12.4198 Å; angles 87.32, 83.00, 67.57 degrees
Fractional positions:
Mg (0.0000, 0.0000, 0.0000)
Nb (0.2734, 0.3565, 0.1361)
Bi (0.3492, 0.9366, 0.5839)
Bi (0.7659, 0.5650, 0.8339)
Bi (0.8184, 0.9283, 0.3639)
O (0.0756, 0.7612, 0.1356)
O (0.1484, 0.8083, 0.8518)
O (0.2873, 0.2229, 0.2823)
O (0.4432, 0.1244, 0.9922)
O (0.4568, 0.6830, 0.4374)
O (0.7893, 0.3490, 0.1048)
O (0.8086, 0.5955, 0.6656)


## Sc3Bi3O11 (PBE)

Data for Sc3Bi3O11 after structural relaxation.

Computed properties:
SG: Pn-3 (201)
Formation energy from the elements in eV/f.u.: -39.0

Cell lengths 9.6848, 9.6848, 9.6848 Å; angles 90.00, 90.00, 90.00 degrees
Fractional positions:
Sc (0.0372, 0.2500, 0.7500)
Sc (0.2500, 0.5372, 0.7500)
Sc (0.2500, 0.7500, 0.0372)
Sc (0.2500, 0.7500, 0.4628)
Sc (0.2500, 0.9628, 0.7500)
Sc (0.4628, 0.2500, 0.7500)
Sc (0.5372, 0.7500, 0.2500)
Sc (0.7500, 0.0372, 0.2500)
Sc (0.7500, 0.2500, 0.5372)
Sc (0.7500, 0.2500, 0.9628)
Sc (0.7500, 0.4628, 0.2500)
Sc (0.9628, 0.7500, 0.2500)
Bi (0.0000, 0.0000, 0.0000)
Bi (0.0000, 0.5000, 0.5000)
Bi (0.1175, 0.1175, 0.3825)
Bi (0.1175, 0.3825, 0.1175)
Bi (0.3825, 0.1175, 0.1175)
Bi (0.3825, 0.3825, 0.3825)
Bi (0.5000, 0.0000, 0.5000)
Bi (0.5000, 0.5000, 0.0000)
Bi (0.6175, 0.6175, 0.6175)
Bi (0.6175, 0.8825, 0.8825)
Bi (0.8825, 0.6175, 0.8825)
Bi (0.8825, 0.8825, 0.6175)
O (0.0336, 0.7443, 0.4517)
O (0.0336, 0.7557, 0.0483)
O (0.0483, 0.0336, 0.7557)
O (0.0483, 0.4664, 0.7443)
O (0.1483, 0.1483, 0.1483)
O (0.1483, 0.3517, 0.3517)
O (0.1727, 0.7500, 0.7500)
O (0.2443, 0.5483, 0.5336)
O (0.2443, 0.9517, 0.9664)
O (0.2500, 0.2500, 0.6727)
O (0.2500, 0.2500, 0.8273)
O (0.2500, 0.6727, 0.2500)
O (0.2500, 0.8273, 0.2500)
O (0.2557, 0.5483, 0.9664)
O (0.2557, 0.9517, 0.5336)
O (0.3273, 0.7500, 0.7500)
O (0.3517, 0.1483, 0.3517)
O (0.3517, 0.3517, 0.1483)
O (0.4517, 0.0336, 0.7443)
O (0.4517, 0.4664, 0.7557)
O (0.4664, 0.7443, 0.0483)
O (0.4664, 0.7557, 0.4517)
O (0.5336, 0.2443, 0.5483)
O (0.5336, 0.2557, 0.9517)
O (0.5483, 0.5336, 0.2443)
O (0.5483, 0.9664, 0.2557)
O (0.6483, 0.6483, 0.8517)
O (0.6483, 0.8517, 0.6483)
O (0.6727, 0.2500, 0.2500)
O (0.7443, 0.0483, 0.4664)
O (0.7443, 0.4517, 0.0336)
O (0.7500, 0.1727, 0.7500)
O (0.7500, 0.3273, 0.7500)
O (0.7500, 0.7500, 0.1727)
O (0.7500, 0.7500, 0.3273)
O (0.7557, 0.0483, 0.0336)
O (0.7557, 0.4517, 0.4664)
O (0.8273, 0.2500, 0.2500)
O (0.8517, 0.6483, 0.6483)
O (0.8517, 0.8517, 0.8517)
O (0.9517, 0.5336, 0.2557)
O (0.9517, 0.9664, 0.2443)
O (0.9664, 0.2443, 0.9517)
O (0.9664, 0.2557, 0.5483)


- What is the formula in the first record?
  Si9Ni25


- formation energy from the elements of number 3 (MgNbBi3O7)?
  -23.6 eV/f.u.


- Which value of formation energy from the elements does entry 3 give?
  -23.6 eV/f.u.


- Look up the formation energy from the elements of the first one.
  -15.8 eV/f.u.